1.
# MgCoNi4O8

Crystalline MgCoNi4O8 at its relaxed geometry (GGA+U, the Materials Project).

```
data_MgCoNi4O8
_cell_length_a 5.7356
_cell_length_b 5.7356
_cell_length_c 5.9029
_cell_angle_alpha 119.41
_cell_angle_beta 119.41
_cell_angle_gamma 60.91
_symmetry_space_group_name_H-M 'P 1'
_symmetry_Int_Tables_number 1
loop_
_symmetry_equiv_pos_as_xyz
'x,y,z'
loop_
_atom_site_label
_atom_site_type_symbol
_atom_site_fract_x
_atom_site_fract_y
_atom_site_fract_z
_atom_site_occupancy
Mg1 Mg 0.0000 0.0000 0.0000 1
Co1 Co 0.5000 0.5000 0.5000 1
Ni1 Ni 0.0000 0.0000 0.5000 1
Ni2 Ni 0.0000 0.5000 0.5000 1
Ni3 Ni 0.5000 0.0000 0.5000 1
Ni4 Ni 0.5000 0.5000 0.0000 1
O1 O 0.2469 0.7249 0.7249 1
O2 O 0.2489 0.2489 0.7027 1
O3 O 0.2610 0.2610 0.2836 1
O4 O 0.2751 0.7531 0.2751 1
O5 O 0.7249 0.2469 0.7249 1
O6 O 0.7390 0.7390 0.7164 1
O7 O 0.7511 0.7511 0.2973 1
O8 O 0.7531 0.2751 0.2751 1
```

Properties
MP2020-corrected energy: -6.332 eV per atom
energy of formation from the pure elements: -1.231 eV/atom
distance to the lowest polymorph of the same formula: 81 meV per atom
density: 5.31 g/cm3
space group: C2/m (12)

=====

2.
# Co3SbO8

Crystalline Co3SbO8 at its relaxed geometry (GGA+U, the Materials Project).

```
data_Co3SbO8
_cell_length_a 5.7013
_cell_length_b 5.7013
_cell_length_c 9.1414
_cell_angle_alpha 90.00
_cell_angle_beta 90.00
_cell_angle_gamma 120.00
_symmetry_space_group_name_H-M 'P 1'
_symmetry_Int_Tables_number 1
loop_
_symmetry_equiv_pos_as_xyz
'x,y,z'
loop_
_atom_site_label
_atom_site_type_symbol
_atom_site_fract_x
_atom_site_fract_y
_atom_site_fract_z
_atom_site_occupancy
Co1 Co 0.1702 0.3403 0.0000 1
Co2 Co 0.1702 0.8298 0.0000 1
Co3 Co 0.3403 0.1702 0.5000 1
Co4 Co 0.6597 0.8298 0.0000 1
Co5 Co 0.8298 0.1702 0.5000 1
Co6 Co 0.8298 0.6597 0.5000 1
Sb1 Sb 0.3333 0.6667 0.2790 1
Sb2 Sb 0.6667 0.3333 0.7790 1
O1 O 0.0000 0.0000 0.0916 1
O2 O 0.0000 0.0000 0.5916 1
O3 O 0.0303 0.5151 0.1182 1
O4 O 0.1589 0.3178 0.3866 1
O5 O 0.1589 0.8411 0.3866 1
O6 O 0.3178 0.1589 0.8866 1
O7 O 0.3333 0.6667 0.8970 1
O8 O 0.4849 0.5151 0.1182 1
O9 O 0.4849 0.9697 0.1182 1
O10 O 0.5151 0.0303 0.6182 1
O11 O 0.5151 0.4849 0.6182 1
O12 O 0.6667 0.3333 0.3970 1
O13 O 0.6822 0.8411 0.3866 1
O14 O 0.8411 0.1589 0.8866 1
O15 O 0.8411 0.6822 0.8866 1
O16 O 0.9697 0.4849 0.6182 1
```

Properties
MP2020-corrected energy: -6.693 eV per atom
energy of formation from the pure elements: -1.273 eV/atom
distance to the lowest polymorph of the same formula: 0 meV per atom
density: 5.51 g/cm3
space group: P6_3mc (186)

=====

3.
# Cs3PrMo3O12

Crystalline Cs3PrMo3O12 at its relaxed geometry (GGA+U, the Materials Project).

```
data_Cs3PrMo3O12
_cell_length_a 9.5572
_cell_length_b 6.5495
_cell_length_c 26.5095
_cell_angle_alpha 90.00
_cell_angle_beta 90.00
_cell_angle_gamma 90.00
_symmetry_space_group_name_H-M 'P 1'
_symmetry_Int_Tables_number 1
loop_
_symmetry_equiv_pos_as_xyz
'x,y,z'
loop_
_atom_site_label
_atom_site_type_symbol
_atom_site_fract_x
_atom_site_fract_y
_atom_site_fract_z
_atom_site_occupancy
Cs1 Cs 0.0247 0.2500 0.0922 1
Cs2 Cs 0.1039 0.2500 0.6799 1
Cs3 Cs 0.1884 0.2500 0.2590 1
Cs4 Cs 0.3116 0.7500 0.7590 1
Cs5 Cs 0.3961 0.7500 0.1799 1
Cs6 Cs 0.4753 0.7500 0.5922 1
Cs7 Cs 0.5247 0.2500 0.4078 1
Cs8 Cs 0.6039 0.2500 0.8201 1
Cs9 Cs 0.6884 0.2500 0.2410 1
Cs10 Cs 0.8116 0.7500 0.7410 1
Cs11 Cs 0.8961 0.7500 0.3201 1
Cs12 Cs 0.9753 0.7500 0.9078 1
Pr1 Pr 0.1815 0.7500 0.4593 1
Pr2 Pr 0.3185 0.2500 0.9593 1
Pr3 Pr 0.6815 0.7500 0.0407 1
Pr4 Pr 0.8185 0.2500 0.5407 1
Mo1 Mo 0.0198 0.7500 0.5997 1
Mo2 Mo 0.1150 0.2500 0.8255 1
Mo3 Mo 0.2464 0.7500 0.0243 1
Mo4 Mo 0.2536 0.2500 0.5243 1
Mo5 Mo 0.3850 0.7500 0.3255 1
Mo6 Mo 0.4802 0.2500 0.0997 1
Mo7 Mo 0.5198 0.7500 0.9003 1
Mo8 Mo 0.6150 0.2500 0.6745 1
Mo9 Mo 0.7464 0.7500 0.4757 1
Mo10 Mo 0.7536 0.2500 0.9757 1
Mo11 Mo 0.8850 0.7500 0.1745 1
Mo12 Mo 0.9802 0.2500 0.4003 1
O1 O 0.0216 0.0248 0.8066 1
O2 O 0.0216 0.4752 0.8066 1
O3 O 0.0655 0.2500 0.5186 1
O4 O 0.0853 0.0223 0.4056 1
O5 O 0.0853 0.4777 0.4056 1
O6 O 0.0962 0.7500 0.6613 1
O7 O 0.1462 0.2500 0.8934 1
O8 O 0.1582 0.7500 0.5540 1
O9 O 0.1772 0.5275 0.9924 1
O10 O 0.1772 0.9725 0.9924 1
O11 O 0.1985 0.7500 0.0885 1
O12 O 0.2213 0.7500 0.2923 1
O13 O 0.2787 0.2500 0.7923 1
O14 O 0.3015 0.2500 0.5885 1
O15 O 0.3228 0.0275 0.4924 1
O16 O 0.3228 0.4725 0.4924 1
O17 O 0.3418 0.2500 0.0540 1
O18 O 0.3538 0.7500 0.3934 1
O19 O 0.4038 0.2500 0.1613 1
O20 O 0.4147 0.5223 0.9056 1
O21 O 0.4147 0.9777 0.9056 1
O22 O 0.4345 0.7500 0.0186 1
O23 O 0.4784 0.5248 0.3066 1
O24 O 0.4784 0.9752 0.3066 1
O25 O 0.5216 0.0248 0.6934 1
O26 O 0.5216 0.4752 0.6934 1
O27 O 0.5655 0.2500 0.9814 1
O28 O 0.5853 0.0223 0.0944 1
O29 O 0.5853 0.4777 0.0944 1
O30 O 0.5962 0.7500 0.8387 1
O31 O 0.6462 0.2500 0.6066 1
O32 O 0.6582 0.7500 0.9460 1
O33 O 0.6772 0.5275 0.5076 1
O34 O 0.6772 0.9725 0.5076 1
O35 O 0.6985 0.7500 0.4115 1
O36 O 0.7213 0.7500 0.2077 1
O37 O 0.7787 0.2500 0.7077 1
O38 O 0.8015 0.2500 0.9115 1
O39 O 0.8228 0.0275 0.0076 1
O40 O 0.8228 0.4725 0.0076 1
O41 O 0.8418 0.2500 0.4460 1
O42 O 0.8538 0.7500 0.1066 1
O43 O 0.9038 0.2500 0.3387 1
O44 O 0.9147 0.5223 0.5944 1
O45 O 0.9147 0.9777 0.5944 1
O46 O 0.9345 0.7500 0.4814 1
O47 O 0.9784 0.5248 0.1934 1
O48 O 0.9784 0.9752 0.1934 1
```

Properties
MP2020-corrected energy: -7.645 eV per atom
energy of formation from the pure elements: -2.415 eV/atom
density: 4.08 g/cm3
space group: Pnma (62)

=====

4.
# MgCo2Ag2O4

Crystalline MgCo2Ag2O4 at its relaxed geometry (GGA+U, the Materials Project).

```
data_MgCo2Ag2O4
_cell_length_a 3.0428
_cell_length_b 3.0428
_cell_length_c 14.3539
_cell_angle_alpha 90.00
_cell_angle_beta 90.00
_cell_angle_gamma 120.00
_symmetry_space_group_name_H-M 'P 1'
_symmetry_Int_Tables_number 1
loop_
_symmetry_equiv_pos_as_xyz
'x,y,z'
loop_
_atom_site_label
_atom_site_type_symbol
_atom_site_fract_x
_atom_site_fract_y
_atom_site_fract_z
_atom_site_occupancy
Mg1 Mg 0.0000 0.0000 0.0000 1
Co1 Co 0.0000 0.0000 0.1836 1
Co2 Co 0.0000 0.0000 0.6114 1
Ag1 Ag 0.3333 0.6667 0.3935 1
Ag2 Ag 0.6667 0.3333 0.8360 1
O1 O 0.3333 0.6667 0.2435 1
O2 O 0.3333 0.6667 0.5395 1
O3 O 0.6667 0.3333 0.0723 1
O4 O 0.6667 0.3333 0.6810 1
```

Properties
MP2020-corrected energy: -5.600 eV per atom
energy of formation from the pure elements: -1.014 eV/atom
distance to the lowest polymorph of the same formula: 82 meV per atom
density: 6.09 g/cm3
space group: P3m1 (156)

=====

5.
# MgFe6O6F6

Crystalline MgFe6O6F6 at its relaxed geometry (GGA+U, the Materials Project).

```
data_MgFe6O6F6
_cell_length_a 5.1354
_cell_length_b 3.0717
_cell_length_c 14.5819
_cell_angle_alpha 90.00
_cell_angle_beta 90.15
_cell_angle_gamma 90.00
_symmetry_space_group_name_H-M 'P 1'
_symmetry_Int_Tables_number 1
loop_
_symmetry_equiv_pos_as_xyz
'x,y,z'
loop_
_atom_site_label
_atom_site_type_symbol
_atom_site_fract_x
_atom_site_fract_y
_atom_site_fract_z
_atom_site_occupancy
Mg1 Mg 0.0000 0.0000 0.0000 1
Fe1 Fe 0.0611 0.5000 0.8120 1
Fe2 Fe 0.1008 0.5000 0.5010 1
Fe3 Fe 0.1248 0.5000 0.1923 1
Fe4 Fe 0.4737 0.0000 0.9897 1
Fe5 Fe 0.4905 0.0000 0.6646 1
Fe6 Fe 0.6778 0.0000 0.3438 1
O1 O 0.2258 0.5000 0.9462 1
O2 O 0.2400 0.0000 0.1117 1
O3 O 0.2516 0.0000 0.7576 1
O4 O 0.3773 0.5000 0.5878 1
O5 O 0.8048 0.5000 0.4091 1
O6 O 0.9231 0.0000 0.2438 1
F1 F 0.2792 0.0000 0.4283 1
F2 F 0.4381 0.5000 0.2785 1
F3 F 0.7338 0.5000 0.7172 1
F4 F 0.7608 0.5000 0.0493 1
F5 F 0.7741 0.0000 0.8916 1
F6 F 0.9158 0.0000 0.5610 1
```

Properties
MP2020-corrected energy: -7.006 eV per atom
energy of formation from the pure elements: -2.080 eV/atom
distance to the lowest polymorph of the same formula: 63 meV per atom
density: 4.11 g/cm3
space group: Pm (6)

=====

6.
# Mn3B7BrO13

Crystalline Mn3B7BrO13 at its relaxed geometry (GGA+U, the Materials Project).

```
data_Mn3B7BrO13
_cell_length_a 8.7673
_cell_length_b 8.7673
_cell_length_c 8.7673
_cell_angle_alpha 60.00
_cell_angle_beta 60.00
_cell_angle_gamma 60.00
_symmetry_space_group_name_H-M 'P 1'
_symmetry_Int_Tables_number 1
loop_
_symmetry_equiv_pos_as_xyz
'x,y,z'
loop_
_atom_site_label
_atom_site_type_symbol
_atom_site_fract_x
_atom_site_fract_y
_atom_site_fract_z
_atom_site_occupancy
Mn1 Mn 0.2500 0.2500 0.7500 1
Mn2 Mn 0.2500 0.7500 0.2500 1
Mn3 Mn 0.2500 0.7500 0.7500 1
Mn4 Mn 0.7500 0.2500 0.2500 1
Mn5 Mn 0.7500 0.2500 0.7500 1
Mn6 Mn 0.7500 0.7500 0.2500 1
B1 B 0.0000 0.0000 0.5000 1
B2 B 0.0000 0.5000 0.0000 1
B3 B 0.0000 0.5000 0.5000 1
B4 B 0.0108 0.3297 0.3297 1
B5 B 0.3297 0.0108 0.3297 1
B6 B 0.3297 0.3297 0.0108 1
B7 B 0.3297 0.3297 0.3297 1
B8 B 0.5000 0.0000 0.0000 1
B9 B 0.5000 0.0000 0.5000 1
B10 B 0.5000 0.5000 0.0000 1
B11 B 0.5108 0.8297 0.8297 1
B12 B 0.8297 0.5108 0.8297 1
B13 B 0.8297 0.8297 0.5108 1
B14 B 0.8297 0.8297 0.8297 1
Br1 Br 0.0000 0.0000 0.0000 1
Br2 Br 0.5000 0.5000 0.5000 1
O1 O 0.0013 0.4533 0.8591 1
O2 O 0.0013 0.6864 0.4533 1
O3 O 0.0013 0.8591 0.6864 1
O4 O 0.1864 0.3591 0.5013 1
O5 O 0.1864 0.5013 0.9533 1
O6 O 0.1864 0.9533 0.3591 1
O7 O 0.2500 0.2500 0.2500 1
O8 O 0.3591 0.1864 0.9533 1
O9 O 0.3591 0.5013 0.1864 1
O10 O 0.3591 0.9533 0.5013 1
O11 O 0.4533 0.0013 0.6864 1
O12 O 0.4533 0.6864 0.8591 1
O13 O 0.4533 0.8591 0.0013 1
O14 O 0.5013 0.1864 0.3591 1
O15 O 0.5013 0.3591 0.9533 1
O16 O 0.5013 0.9533 0.1864 1
O17 O 0.6864 0.0013 0.8591 1
O18 O 0.6864 0.4533 0.0013 1
O19 O 0.6864 0.8591 0.4533 1
O20 O 0.7500 0.7500 0.7500 1
O21 O 0.8591 0.0013 0.4533 1
O22 O 0.8591 0.4533 0.6864 1
O23 O 0.8591 0.6864 0.0013 1
O24 O 0.9533 0.1864 0.5013 1
O25 O 0.9533 0.3591 0.1864 1
O26 O 0.9533 0.5013 0.3591 1
```

Properties
MP2020-corrected energy: -8.453 eV per atom
energy of formation from the pure elements: -2.612 eV/atom
distance to the lowest polymorph of the same formula: 9 meV per atom
density: 3.68 g/cm3
space group: F-43c (219)

=====

7.
# LiCrPHO5

Crystalline LiCrPHO5 at its relaxed geometry (GGA+U, the Materials Project).

```
data_LiCrPHO5
_cell_length_a 5.1499
_cell_length_b 5.4044
_cell_length_c 7.3264
_cell_angle_alpha 106.56
_cell_angle_beta 108.78
_cell_angle_gamma 97.88
_symmetry_space_group_name_H-M 'P 1'
_symmetry_Int_Tables_number 1
loop_
_symmetry_equiv_pos_as_xyz
'x,y,z'
loop_
_atom_site_label
_atom_site_type_symbol
_atom_site_fract_x
_atom_site_fract_y
_atom_site_fract_z
_atom_site_occupancy
Li1 Li 0.2452 0.3961 0.3224 1
Li2 Li 0.7548 0.6039 0.6776 1
Cr1 Cr 0.5000 0.0000 0.0000 1
Cr2 Cr 0.5000 0.0000 0.5000 1
P1 P 0.1763 0.3595 0.7330 1
P2 P 0.8237 0.6405 0.2670 1
H1 H 0.1438 0.9362 0.1576 1
H2 H 0.8562 0.0638 0.8424 1
O1 O 0.1318 0.7514 0.4292 1
O2 O 0.1931 0.6567 0.8405 1
O3 O 0.2265 0.2053 0.8842 1
O4 O 0.3411 0.0495 0.2245 1
O5 O 0.3871 0.3378 0.6198 1
O6 O 0.6129 0.6622 0.3802 1
O7 O 0.6589 0.9505 0.7755 1
O8 O 0.7735 0.7947 0.1158 1
O9 O 0.8069 0.3433 0.1595 1
O10 O 0.8682 0.2486 0.5708 1
```

Properties
MP2020-corrected energy: -7.451 eV per atom
energy of formation from the pure elements: -2.439 eV/atom
density: 3.17 g/cm3
space group: P-1 (2)

=====

8.
# LiFe4B4O12

Crystalline LiFe4B4O12 at its relaxed geometry (GGA+U, the Materials Project).

```
data_LiFe4B4O12
_cell_length_a 5.2518
_cell_length_b 9.1341
_cell_length_c 11.4788
_cell_angle_alpha 113.14
_cell_angle_beta 101.99
_cell_angle_gamma 90.93
_symmetry_space_group_name_H-M 'P 1'
_symmetry_Int_Tables_number 1
loop_
_symmetry_equiv_pos_as_xyz
'x,y,z'
loop_
_atom_site_label
_atom_site_type_symbol
_atom_site_fract_x
_atom_site_fract_y
_atom_site_fract_z
_atom_site_occupancy
Li1 Li 0.0000 0.0000 0.0000 1
Li2 Li 0.2805 0.2539 0.5032 1
Fe1 Fe 0.0322 0.3547 0.0381 1
Fe2 Fe 0.2614 0.8781 0.7846 1
Fe3 Fe 0.2817 0.9263 0.5343 1
Fe4 Fe 0.5026 0.4608 0.2776 1
Fe5 Fe 0.5351 0.8469 0.0401 1
Fe6 Fe 0.7550 0.3887 0.7885 1
Fe7 Fe 0.7905 0.4369 0.5316 1
Fe8 Fe 0.9963 0.9609 0.2829 1
B1 B 0.0069 0.6360 0.2916 1
B2 B 0.0318 0.6806 0.0267 1
B3 B 0.2396 0.2139 0.7786 1
B4 B 0.3030 0.5919 0.5372 1
B5 B 0.5132 0.1442 0.2917 1
B6 B 0.5334 0.1681 0.0361 1
B7 B 0.7493 0.7181 0.7894 1
B8 B 0.7888 0.1031 0.5389 1
O1 O 0.0103 0.2478 0.8203 1
O2 O 0.0323 0.0849 0.5073 1
O3 O 0.1392 0.7904 0.3465 1
O4 O 0.1425 0.5056 0.2403 1
O5 O 0.1527 0.4675 0.5359 1
O6 O 0.2380 0.7484 0.5911 1
O7 O 0.2767 0.1380 0.3171 1
O8 O 0.2917 0.6922 0.0321 1
O9 O 0.2967 0.0529 0.7324 1
O10 O 0.3697 0.0181 0.9868 1
O11 O 0.4077 0.3276 0.7780 1
O12 O 0.4086 0.3033 0.0892 1
O13 O 0.5232 0.7505 0.8361 1
O14 O 0.5243 0.5665 0.4870 1
O15 O 0.6253 0.9823 0.5309 1
O16 O 0.6286 0.0086 0.2257 1
O17 O 0.6636 0.2953 0.3376 1
O18 O 0.7075 0.2597 0.5792 1
O19 O 0.7482 0.6147 0.2865 1
O20 O 0.7833 0.1683 0.0277 1
O21 O 0.7935 0.5597 0.7262 1
O22 O 0.8813 0.5344 0.9795 1
O23 O 0.9128 0.8239 0.0703 1
O24 O 0.9257 0.8412 0.8101 1
```

Properties
MP2020-corrected energy: -8.030 eV per atom
energy of formation from the pure elements: -2.226 eV/atom
distance to the lowest polymorph of the same formula: 7 meV per atom
density: 3.14 g/cm3
space group: P1 (1)